# 1
# CrSiN2

An optimized crystal structure of CrSiN2 (PBE-GGA, the Materials Project database).

Cell and atoms, written as POSCAR:
```
CrSiN2
1.0
-3.596 -1.505 3.145
3.369 -9.593 -0.740
8.142 2.065 10.298
Cr Si N
16 16 32
Direct
0.683 0.979 0.447
0.183 0.521 0.553
0.317 0.479 0.053
0.817 0.021 0.947
0.317 0.021 0.553
0.817 0.479 0.447
0.683 0.521 0.947
0.183 0.979 0.053
0.829 0.282 0.309
0.329 0.218 0.691
0.171 0.782 0.191
0.671 0.718 0.809
0.171 0.718 0.691
0.671 0.782 0.309
0.829 0.218 0.809
0.329 0.282 0.191
0.669 0.025 0.188
0.169 0.475 0.812
0.331 0.525 0.312
0.831 0.975 0.688
0.331 0.975 0.812
0.831 0.525 0.188
0.669 0.475 0.688
0.169 0.025 0.312
0.821 0.275 0.063
0.321 0.225 0.937
0.179 0.775 0.437
0.679 0.725 0.563
0.179 0.725 0.937
0.679 0.775 0.063
0.821 0.225 0.563
0.321 0.275 0.437
0.665 0.476 0.298
0.165 0.024 0.702
0.335 0.976 0.202
0.835 0.524 0.798
0.335 0.524 0.702
0.835 0.976 0.298
0.665 0.024 0.798
0.165 0.476 0.202
0.670 0.283 0.453
0.170 0.217 0.547
0.330 0.783 0.047
0.830 0.717 0.953
0.330 0.717 0.547
0.830 0.783 0.453
0.670 0.217 0.953
0.170 0.283 0.047
0.710 0.439 0.083
0.210 0.061 0.917
0.290 0.939 0.417
0.790 0.561 0.583
0.290 0.561 0.917
0.790 0.939 0.083
0.710 0.061 0.583
0.210 0.439 0.417
0.708 0.194 0.171
0.208 0.306 0.829
0.292 0.694 0.329
0.792 0.806 0.671
0.292 0.806 0.829
0.792 0.694 0.171
0.708 0.306 0.671
0.208 0.194 0.329
```

Summary:
- magnetization (Bohr magnetons per cell) = 48.00

# 2
# Cr5Si3N9

An optimized crystal structure of Cr5Si3N9 (PBE-GGA, the Materials Project database).

Cell and atoms, written as POSCAR:
```
Cr5Si3N9
1.0
0.623 4.428 5.509
-6.993 -3.080 -8.328
-6.128 -10.262 8.942
Cr Si N
20 12 36
Direct
0.000 0.572 0.865
0.000 0.428 0.135
0.000 0.928 0.365
0.000 0.072 0.635
0.444 0.062 0.864
0.444 0.382 0.136
0.444 0.882 0.364
0.444 0.562 0.636
0.556 0.938 0.136
0.556 0.618 0.864
0.556 0.118 0.636
0.556 0.438 0.364
0.000 0.457 0.578
0.000 0.543 0.422
0.000 0.043 0.078
0.000 0.957 0.922
0.631 0.315 0.000
0.631 0.815 0.500
0.369 0.685 0.000
0.369 0.185 0.500
0.000 0.767 0.029
0.000 0.233 0.971
0.000 0.733 0.529
0.000 0.267 0.471
0.000 0.271 0.750
0.000 0.729 0.250
0.000 0.229 0.250
0.000 0.771 0.750
0.500 0.832 0.750
0.500 0.668 0.250
0.500 0.168 0.250
0.500 0.332 0.750
0.000 0.405 0.696
0.000 0.595 0.304
0.000 0.095 0.196
0.000 0.905 0.804
0.000 0.266 0.861
0.000 0.734 0.139
0.000 0.234 0.361
0.000 0.766 0.639
0.000 0.622 0.983
0.000 0.378 0.017
0.000 0.878 0.483
0.000 0.122 0.517
0.714 0.548 0.805
0.714 0.165 0.195
0.714 0.665 0.305
0.714 0.048 0.695
0.286 0.452 0.195
0.286 0.835 0.805
0.286 0.335 0.695
0.286 0.952 0.305
0.596 0.290 0.847
0.596 0.306 0.153
0.596 0.806 0.347
0.596 0.790 0.653
0.404 0.710 0.153
0.404 0.694 0.847
0.404 0.194 0.653
0.404 0.210 0.347
0.299 0.014 0.989
0.299 0.285 0.011
0.299 0.785 0.489
0.299 0.514 0.511
0.701 0.986 0.011
0.701 0.715 0.989
0.701 0.215 0.511
0.701 0.486 0.489
```

Summary:
- magnetization (Bohr magnetons per cell) = 28.93

# 3
# Sr3CrN3

An optimized crystal structure of Sr3CrN3 (PBE-GGA, the Materials Project database).

Cell and atoms, written as POSCAR:
```
Sr3CrN3
1.0
3.914 -6.780 0.000
3.914 6.780 0.000
0.000 0.000 5.251
Sr Cr N
6 2 6
Direct
0.725 0.084 0.250
0.642 0.725 0.750
0.084 0.358 0.750
0.916 0.642 0.250
0.358 0.275 0.250
0.275 0.916 0.750
0.333 0.667 0.250
0.667 0.333 0.750
0.685 0.122 0.750
0.563 0.685 0.250
0.122 0.437 0.250
0.878 0.563 0.750
0.437 0.315 0.750
0.315 0.878 0.250
```

# 4
# SrCrN2

An optimized crystal structure of SrCrN2 (PBE-GGA, the Materials Project database).

Cell and atoms, written as POSCAR:
```
SrCrN2
1.0
6.011 0.000 -0.075
0.000 7.407 0.000
-2.261 0.000 5.446
Sr Cr N
4 4 8
Direct
0.326 0.934 0.686
0.674 0.434 0.814
0.674 0.066 0.314
0.326 0.566 0.186
0.110 0.364 0.577
0.890 0.864 0.923
0.890 0.636 0.423
0.110 0.136 0.077
0.222 0.904 0.069
0.778 0.404 0.431
0.778 0.096 0.931
0.222 0.596 0.569
0.202 0.281 0.885
0.798 0.781 0.615
0.798 0.719 0.115
0.202 0.219 0.385
```

no.,volume (Å³/atom),VASP energy (Ry/atom)
1,10.603,-0.6199
2,10.644,-0.6170
3,19.908,-0.4781
4,15.077,-0.5746